[1]
This record from the Materials Project describes a relaxed Ca2Ta2MnO8 crystal. The functional is GGA+U.

extended XYZ file:
```
52
Lattice="-5.179 1.676 -0.707 0.296 3.882 9.383 4.033 8.991 -8.237" Properties=species:S:1:pos:R:3 pbc="T T T"
Ta 1.026 8.061 2.817
Ta -0.703 2.480 0.891
Ta 1.314 6.975 -3.229
Ta -0.990 3.567 6.936
Ta -0.138 12.078 -0.451
Ta -1.867 6.496 -2.377
Ta -2.155 7.582 3.668
Ta 0.149 10.991 -6.496
Mn 0.000 3.307 -2.820
Mn -3.161 2.868 -2.001
Mn -0.846 11.242 3.256
Mn 2.021 7.806 -6.938
Ca -0.217 4.760 3.363
Ca -2.640 5.302 1.194
Ca 0.641 6.007 0.142
Ca -0.624 9.797 -2.925
Ca -1.481 8.551 0.297
Ca 2.657 10.503 -3.976
Ca 1.799 9.255 -0.756
Ca -3.498 4.056 4.415
O -0.178 7.262 -1.522
O -1.228 12.116 1.075
O -4.400 5.083 7.181
O 1.420 8.898 -3.051
O 1.737 12.151 0.289
O -0.280 7.655 4.408
O 3.678 10.364 -1.263
O -2.261 5.659 3.489
O -2.504 8.690 -2.415
O 0.428 9.142 -6.362
O 1.542 4.980 -2.622
O 1.662 5.868 2.855
O -0.663 7.296 1.962
O -0.597 4.403 1.068
O -0.301 3.415 5.135
O 1.715 7.910 1.017
O -1.269 5.417 6.802
O 0.749 9.912 2.683
O -0.244 10.155 -0.629
O -2.383 9.578 3.062
O -4.520 4.195 1.703
O -0.561 6.902 -3.968
O -3.246 7.621 5.193
O -1.590 4.645 -2.243
O 1.353 11.792 -2.156
O -0.540 11.144 -4.695
O -2.578 2.408 0.150
O -2.194 2.767 2.596
O 3.559 9.476 -6.741
O -2.556 6.648 -0.577
O 2.405 6.935 -4.754
O 0.387 2.441 -0.636
```

Electronic total energy   -443.44 eV per cell

[2]
This record from the Materials Project describes a relaxed Ca2TbMn3O9 crystal. The functional is GGA+U.

extended XYZ file:
```
60
Lattice="-3.737 3.166 2.182 -4.302 -0.751 -6.280 -7.276 -13.102 6.550" Properties=species:S:1:pos:R:3 pbc="T T T"
Ca -4.230 -1.011 0.690
Ca -1.221 -0.360 -1.450
Ca -6.660 -5.385 2.876
Ca -11.085 -9.676 1.762
Ca -14.094 -10.327 3.901
Ca -9.248 -1.599 -0.462
Ca -8.655 -5.302 -0.425
Ca -6.068 -9.088 2.913
O -10.669 -7.512 3.124
O -10.042 -3.459 -1.683
O -10.454 -11.344 6.187
O -6.874 -9.123 5.375
O -11.495 -9.985 4.068
O -7.560 0.844 -3.792
O -10.914 -5.947 -0.682
O -2.886 -2.868 1.896
O -8.049 -7.021 4.024
O -12.429 -7.819 0.556
O -8.442 -1.564 -2.923
O -8.633 -9.430 2.806
O -4.401 -4.740 3.134
O -8.206 -3.138 0.997
O -9.493 -11.834 3.706
O -3.820 -0.702 -1.616
O -8.093 -3.711 3.658
O -7.266 -3.666 -1.572
O -9.177 -5.644 1.855
O -9.664 -8.076 0.598
O -5.651 -2.611 1.854
O -7.223 -6.976 -1.206
O -4.813 -2.552 -3.385
O -10.502 -8.135 5.837
O -6.682 -1.257 -0.355
O -5.274 -7.228 4.135
O -4.862 0.657 -3.736
O -4.646 -3.174 -0.672
O -5.693 0.617 1.497
O -7.109 -7.549 1.455
O -13.331 -10.305 1.388
O -6.139 -5.043 0.597
O -9.622 -11.303 0.955
O -1.985 -0.381 1.064
O -5.822 1.147 -1.255
O -7.756 -11.531 6.243
Mn -3.638 -6.551 3.275
Mn -3.361 -2.556 -2.037
Mn -14.093 -8.504 1.367
Mn -5.789 -6.926 0.135
Mn -6.454 -3.158 0.126
Mn -1.222 -2.183 1.085
Mn -8.592 -3.531 -2.995
Mn -6.723 -7.156 5.447
Mn -4.020 1.208 -2.049
Mn -1.869 1.583 1.091
Mn -8.862 -7.529 2.325
Mn -11.954 -8.131 4.489
Tb -11.653 -5.945 1.706
Tb -3.662 -4.742 0.746
Tb -6.225 -0.911 -2.615
Tb -9.090 -9.776 5.066
```

Electronic total energy   -439.70 eV per cell

[3]
This record from the Materials Project describes a relaxed CaTb3Mn4O12 crystal. The functional is GGA+U.

extended XYZ file:
```
20
Lattice="-6.321 -4.183 0.775 1.120 -2.540 -4.575 2.937 -3.915 2.830" Properties=species:S:1:pos:R:3 pbc="T T T"
O -0.682 -3.160 -0.273
O 0.542 -1.138 -1.722
O -3.635 -6.130 -2.450
O 0.370 -7.431 0.365
O 0.217 -3.580 -2.923
O -0.784 -6.208 -2.446
O 0.739 -4.941 1.625
O -2.269 -7.913 -0.621
O 1.685 -2.356 1.025
O -3.232 -4.848 0.039
O 1.637 -5.329 -1.100
O -1.825 -6.638 1.939
Mn -3.253 -5.094 1.985
Mn 1.899 -6.226 0.739
Mn -0.121 -3.022 1.601
Mn -1.240 -8.303 1.124
Tb 1.849 -3.006 -1.145
Tb -2.945 -2.397 0.498
Tb 3.843 -6.153 -1.861
Ca -0.971 -5.518 -0.247
```

Electronic total energy   -155.19 eV per cell

[4]
This record from the Materials Project describes a relaxed Ca2TiMnO6 crystal. The functional is GGA+U.

extended XYZ file:
```
40
Lattice="5.431 -0.003 -5.370 -5.431 -0.003 -5.370 0.000 7.618 -5.366" Properties=species:S:1:pos:R:3 pbc="T T T"
Ca 0.211 1.897 -5.405
Ca -2.926 5.706 -8.088
Ca 2.505 5.706 -8.087
Ca -0.212 5.716 -10.699
Ca 0.211 1.894 -10.775
Ca -0.211 5.719 -5.329
Ca 2.927 1.907 -8.016
Ca -2.504 1.907 -8.016
O -1.135 3.510 -11.885
O 4.269 0.281 -6.483
O -1.580 7.322 -9.198
O 0.094 5.693 -7.666
O 1.579 0.288 -6.908
O -2.809 1.884 -4.983
O -1.161 0.281 -6.483
O 1.160 7.333 -9.622
O 1.136 4.100 -4.221
O -0.091 1.922 -3.070
O -0.091 1.920 -8.440
O -2.624 5.729 -11.122
O 2.807 5.728 -11.122
O 0.094 5.689 -13.036
O -1.135 3.513 -6.515
O -4.271 7.333 -9.623
O 2.621 1.883 -4.983
O -1.554 4.090 -9.165
O -3.851 0.288 -6.909
O 3.877 4.090 -9.165
O 1.136 4.097 -9.591
O -3.875 3.524 -6.940
O 1.555 3.524 -6.940
O 3.850 7.322 -9.198
Ti -0.002 7.616 -8.050
Ti -2.714 3.807 -5.368
Ti -0.001 7.613 -13.420
Ti -2.714 3.804 -10.737
Mn 0.002 3.805 -8.054
Mn -2.717 7.615 -10.736
Mn 0.002 3.808 -2.684
Mn 2.713 7.614 -10.735
```

ΔE to the lowest computed polymorph   0 meV/atom
Electronic total energy   -301.49 eV per cell